The following is a PBE calculation of a relaxed structure of ZnS, from the Materials Project database.

## Properties
**ρ**: 4.00 g cm⁻³
**Calculated volume**: 1293.94 Å³/cell
**DFT total energy**: -3.51 eV per atom
**Energy of formation from the pure elements**: -205 kJ/mol of formula units
**Space-group type**: P3m1 (156)

a b c (Å): 3.8516 3.8516 100.7184
angles (deg): 90.00 90.00 120.00
Last column: nearest neighbours and their distance in Å.
Sites, in units of the cell vectors:
Zn 0.0000 0.0000 0.0000  4 S 2.36
Zn 0.0000 0.0000 0.0627  4 S 2.36-2.37
Zn 0.0000 0.0000 0.1563  4 S 2.36
Zn 0.0000 0.0000 0.2188  4 S 2.36
Zn 0.0000 0.0000 0.3125  4 S 2.36
Zn 0.0000 0.0000 0.4063  4 S 2.36
Zn 0.0000 0.0000 0.5000  4 S 2.36
Zn 0.0000 0.0000 0.5938  4 S 2.36
Zn 0.0000 0.0000 0.6563  4 S 2.36
Zn 0.0000 0.0000 0.7500  4 S 2.36
Zn 0.0000 0.0000 0.8438  4 S 2.36
Zn 0.0000 0.0000 0.9063  4 S 2.36
Zn 0.3333 0.6667 0.1251  4 S 2.36
Zn 0.3333 0.6667 0.2500  4 S 2.36
Zn 0.3333 0.6667 0.3438  4 S 2.36
Zn 0.3333 0.6667 0.4375  4 S 2.36
Zn 0.3333 0.6667 0.5313  4 S 2.36
Zn 0.3333 0.6667 0.6250  4 S 2.36
Zn 0.3333 0.6667 0.7188  4 S 2.36
Zn 0.3333 0.6667 0.8125  4 S 2.36
Zn 0.3333 0.6667 0.9375  4 S 2.36
Zn 0.6667 0.3333 0.0313  4 S 2.36-2.37
Zn 0.6667 0.3333 0.0940  4 S 2.35-2.36
Zn 0.6667 0.3333 0.1875  4 S 2.36
Zn 0.6667 0.3333 0.2813  4 S 2.36
Zn 0.6667 0.3333 0.3750  4 S 2.36
Zn 0.6667 0.3333 0.4688  4 S 2.36
Zn 0.6667 0.3333 0.5625  4 S 2.36
Zn 0.6667 0.3333 0.6875  4 S 2.36
Zn 0.6667 0.3333 0.7813  4 S 2.36
Zn 0.6667 0.3333 0.8750  4 S 2.36
Zn 0.6667 0.3333 0.9688  4 S 2.36
S 0.0000 0.0000 0.0234  4 Zn 2.36
S 0.0000 0.0000 0.0862  4 Zn 2.36-2.37
S 0.0000 0.0000 0.1797  4 Zn 2.36
S 0.0000 0.0000 0.2422  4 Zn 2.36
S 0.0000 0.0000 0.3360  4 Zn 2.36
S 0.0000 0.0000 0.4297  4 Zn 2.36
S 0.0000 0.0000 0.5235  4 Zn 2.36
S 0.0000 0.0000 0.6172  4 Zn 2.36
S 0.0000 0.0000 0.6797  4 Zn 2.36
S 0.0000 0.0000 0.7735  4 Zn 2.36
S 0.0000 0.0000 0.8672  4 Zn 2.36
S 0.0000 0.0000 0.9297  4 Zn 2.36
S 0.3333 0.6667 0.1485  4 Zn 2.36
S 0.3333 0.6667 0.2735  4 Zn 2.36
S 0.3333 0.6667 0.3672  4 Zn 2.36
S 0.3333 0.6667 0.4610  4 Zn 2.36
S 0.3333 0.6667 0.5547  4 Zn 2.36
S 0.3333 0.6667 0.6485  4 Zn 2.36
S 0.3333 0.6667 0.7422  4 Zn 2.36
S 0.3333 0.6667 0.8360  4 Zn 2.36
S 0.3333 0.6667 0.9610  4 Zn 2.36
S 0.6667 0.3333 0.0548  4 Zn 2.36-2.37
S 0.6667 0.3333 0.1173  4 Zn 2.35-2.36
S 0.6667 0.3333 0.2110  4 Zn 2.36
S 0.6667 0.3333 0.3047  4 Zn 2.36
S 0.6667 0.3333 0.3985  4 Zn 2.36
S 0.6667 0.3333 0.4922  4 Zn 2.36
S 0.6667 0.3333 0.5860  4 Zn 2.36
S 0.6667 0.3333 0.7110  4 Zn 2.36
S 0.6667 0.3333 0.8047  4 Zn 2.36
S 0.6667 0.3333 0.8985  4 Zn 2.36
S 0.6667 0.3333 0.9922  4 Zn 2.36


The following is a PBE calculation of a relaxed structure of ZnS, from the Materials Project database.

## Properties
**ρ**: 3.37 g cm⁻³
**Calculated volume**: 2400.90 Å³/cell
**DFT total energy**: -3.10 eV per atom
**Energy of formation from the pure elements**: -126 kJ/mol of formula units
**Space-group type**: P1 (1)

a b c (Å): 12.7778 13.6953 13.8985
angles (deg): 88.83 82.41 84.80
Last column: nearest neighbours and their distance in Å.
Sites, in units of the cell vectors:
Zn 0.0000 0.0000 0.0000  3 S 2.29-2.39
Zn 0.0029 0.1458 0.2734  2 S 2.21-2.37, 1 Zn 2.41
Zn 0.0162 0.6424 0.9889  2 S 2.30-2.52, 2 Zn 2.45-2.52
Zn 0.0822 0.3803 0.5664  3 S 2.28-2.43
Zn 0.0984 0.9838 0.4579  1 S 2.33, 1 Zn 2.41
Zn 0.1193 0.6459 0.6019  3 S 2.42-2.57, 1 Zn 2.46
Zn 0.1280 0.9894 0.6250  2 S 2.29-2.40, 1 Zn 2.41
Zn 0.1330 0.4392 0.2664  3 S 2.23-2.37
Zn 0.1470 0.7507 0.0536  3 S 2.32-2.47, 1 Zn 2.59
Zn 0.1615 0.5585 0.0661  3 S 2.39-2.50, 2 Zn 2.45-2.63
Zn 0.1956 0.8733 0.8227  3 S 2.28-2.39
Zn 0.2043 0.3618 0.8065  2 S 2.26
Zn 0.2075 0.6815 0.2958  3 S 2.22-2.39
Zn 0.2424 0.0616 0.0310  4 S 2.30-2.51
Zn 0.2870 0.8992 0.2226  3 S 2.26-2.30
Zn 0.3047 0.3400 0.1055  4 S 2.30-2.42
Zn 0.3435 0.4040 0.5499  3 S 2.24-2.36
Zn 0.3520 0.1608 0.6531  4 S 2.31-2.46
Zn 0.3544 0.6271 0.8594  3 S 2.25-2.31
Zn 0.3681 0.7312 0.4553  3 S 2.23-2.36
Zn 0.4353 0.9441 0.5811  4 S 2.27-2.43
Zn 0.4378 0.2568 0.8987  4 S 2.29-2.50
Zn 0.4527 0.8669 0.9388  3 S 2.36-2.48, 1 Zn 2.54
Zn 0.5000 0.1758 0.4498  3 S 2.21-2.31
Zn 0.5124 0.0739 0.0508  3 S 2.39-2.66, 2 Zn 2.60-2.62
Zn 0.5155 0.6106 0.1044  1 S 2.36, 1 Zn 2.40
Zn 0.5516 0.7524 0.8088  2 S 2.30-2.38, 2 Zn 2.52-2.54
Zn 0.5721 0.5675 0.9382  2 S 2.29-2.43, 1 Zn 2.40
Zn 0.5801 0.5291 0.3492  3 S 2.27-2.32
Zn 0.6246 0.6865 0.5759  3 S 2.24-2.29
Zn 0.6647 0.8229 0.9207  2 S 2.35-2.38, 1 Zn 2.52
Zn 0.6665 0.7402 0.2219  3 S 2.26-2.38
Zn 0.6708 0.0091 0.1412  2 S 2.38-2.43, 2 Zn 2.54-2.60
Zn 0.6771 0.0869 0.6606  3 S 2.27-2.35
Zn 0.6778 0.3615 0.9692  3 S 2.23-2.32
Zn 0.6925 0.1544 0.0257  3 S 2.29-2.56, 1 Zn 2.54
Zn 0.7229 0.8731 0.6869  4 S 2.30-2.52
Zn 0.8112 0.4440 0.5465  3 S 2.24-2.32
Zn 0.8176 0.0248 0.4272  4 S 2.34-2.50
Zn 0.8345 0.5805 0.0056  1 S 2.31, 1 Zn 2.52
Zn 0.8564 0.5843 0.3417  4 S 2.28-2.54
Zn 0.8606 0.7397 0.0942  3 S 2.36-2.44, 2 Zn 2.59
Zn 0.9275 0.9959 0.6057  2 S 2.25-2.26
Zn 0.9293 0.6663 0.5848  1 S 2.36, 1 Zn 2.46
Zn 0.9323 0.4385 0.8166  4 S 2.31-2.49
Zn 0.9488 0.2051 0.6172  4 S 2.31-2.49
Zn 0.9605 0.3120 0.3734  3 S 2.33-2.57, 1 Zn 2.56
Zn 0.9681 0.2193 0.9835  4 S 2.31-2.52
Zn 0.9720 0.7259 0.7679  3 S 2.31-2.33
Zn 0.9851 0.3006 0.1882  2 S 2.31-2.40, 2 Zn 2.41-2.56
S 0.0072 0.4892 0.3858  2 Zn 2.23-2.37
S 0.0246 0.5765 0.8372  3 Zn 2.30-2.36
S 0.0446 0.3037 0.8490  3 Zn 2.26-2.33
S 0.0676 0.1266 0.1067  4 Zn 2.37-2.58
S 0.0709 0.2415 0.4813  3 Zn 2.28-2.36
S 0.1200 0.8019 0.7020  3 Zn 2.31-2.57
S 0.1215 0.3951 0.1094  4 Zn 2.30-2.40
S 0.1505 0.8085 0.2088  3 Zn 2.22-2.32
S 0.1591 0.0179 0.9033  3 Zn 2.28-2.31
S 0.1912 0.4721 0.6394  3 Zn 2.30-2.54
S 0.2316 0.6424 0.4472  3 Zn 2.22-2.42
S 0.2678 0.4917 0.9136  1 S 2.10, 1 Zn 2.31
S 0.2879 0.0039 0.6790  3 Zn 2.27-2.37
S 0.2954 0.9722 0.3687  1 S 2.11, 1 Zn 2.30
S 0.2959 0.5665 0.1788  1 S 2.12
S 0.2970 0.7741 0.9265  4 Zn 2.26-2.48
S 0.3207 0.4298 0.2505  1 S 2.12, 1 Zn 2.37
S 0.3369 0.2500 0.5001  3 Zn 2.24-2.45
S 0.3583 0.1858 0.0452  4 Zn 2.30-2.39
S 0.3671 0.2865 0.7568  3 Zn 2.26-2.31
S 0.3871 0.9467 0.0863  4 Zn 2.26-2.51
S 0.4001 0.4234 0.9714  1 S 2.10
S 0.4195 0.8844 0.4225  1 S 2.11, 1 Zn 2.27
S 0.4666 0.6285 0.5560  1 S 2.09, 1 Zn 2.29
S 0.4964 0.4865 0.5007  1 S 2.09, 1 Zn 2.32
S 0.5038 0.0251 0.8679  1 S 2.10
S 0.5177 0.6620 0.2650  3 Zn 2.27-2.36
S 0.5218 0.5917 0.7869  3 Zn 2.25-2.30
S 0.5274 0.0845 0.5870  4 Zn 2.29-2.46
S 0.5572 0.8266 0.6524  4 Zn 2.26-2.43
S 0.5987 0.1656 0.3071  1 S 2.10, 1 Zn 2.21
S 0.6209 0.2391 0.8932  3 Zn 2.23-2.40
S 0.6652 0.0052 0.8115  1 S 2.10, 1 Zn 2.35
S 0.6863 0.0282 0.3088  1 S 2.10
S 0.6961 0.8420 0.0819  4 Zn 2.35-2.44
S 0.7161 0.3071 0.1206  1 S 2.10, 1 Zn 2.32
S 0.7476 0.4573 0.3128  1 S 2.12, 1 Zn 2.27
S 0.7527 0.4946 0.8999  4 Zn 2.27-2.49
S 0.7683 0.3511 0.4234  1 S 2.12, 1 Zn 2.30
S 0.7838 0.6117 0.5195  3 Zn 2.24-2.36
S 0.7879 0.7535 0.7912  3 Zn 2.33-2.38
S 0.7974 0.1510 0.5480  3 Zn 2.27-2.45
S 0.8304 0.7329 0.2672  3 Zn 2.26-2.39
S 0.8342 0.8850 0.5442  3 Zn 2.26-2.50
S 0.8595 0.0991 0.9564  3 Zn 2.29-2.31
S 0.8685 0.3528 0.0804  1 S 2.10, 1 Zn 2.31
S 0.9077 0.3809 0.6602  4 Zn 2.24-2.49
S 0.9847 0.0790 0.7238  3 Zn 2.25-2.40
S 0.9858 0.9983 0.3383  3 Zn 2.21-2.34
S 0.9905 0.8264 0.0015  4 Zn 2.36-2.52


Among the records above, which one has the lowest ρ? number 2


What is the formula in the first record? ZnS